No. 1
FeO2 | GGA+U | optimized geometry

Cell and atoms, written as POSCAR:
```
FeO2
1.0
1.436 2.018 -1.483
-1.984 0.778 1.948
7.230 0.207 7.283
Fe O
2 4
direct
0.000 0.000 0.500
0.000 0.000 0.000
0.333 0.667 0.407
0.333 0.667 0.093
0.667 0.333 0.593
0.667 0.333 0.907
```

Output
space group = P6_3/mmc (194)

---

No. 2
MgMn2O4 | GGA+U | optimized geometry

Cell and atoms, written as POSCAR:
```
MgMn2O4
1.0
-0.333 3.229 -0.122
-10.101 -3.509 0.401
-0.446 1.463 2.590
Mg Mn O
1 2 4
direct
0.947 0.283 0.527
0.928 0.546 0.543
0.970 0.989 0.017
0.207 0.906 0.401
0.349 0.604 0.828
0.659 0.360 0.168
0.793 0.093 0.601
```

Output
energy above the lowest structure with this stoichiometry = 296 meV per atom
space group = P1 (1)

---

No. 3
Na12Ca3Fe2Si12O36 | GGA+U | optimized geometry

Cell and atoms, written as POSCAR:
```
Na12Ca3Fe2Si12O36
1.0
-1.843 -9.952 -2.306
-0.122 -1.671 7.308
-10.416 1.870 0.258
Na Ca Fe Si O
12 3 2 12 36
direct
0.231 0.489 0.254
0.254 0.518 0.734
0.205 0.948 0.235
0.240 0.016 0.767
0.746 0.518 0.734
0.769 0.489 0.254
0.760 0.016 0.767
0.795 0.948 0.235
0.000 0.567 0.433
0.500 0.001 0.005
0.500 0.003 0.500
0.000 0.554 0.024
0.000 0.267 0.763
0.500 0.242 0.261
0.500 0.757 0.736
0.500 0.499 0.499
0.000 0.997 0.003
0.000 0.239 0.281
0.000 0.756 0.722
0.500 0.746 0.222
0.500 0.253 0.780
0.236 0.783 0.511
0.232 0.213 0.495
0.267 0.282 0.993
0.271 0.716 0.005
0.768 0.213 0.495
0.764 0.783 0.511
0.729 0.716 0.005
0.733 0.282 0.993
0.139 0.818 0.040
0.136 0.187 0.943
0.365 0.312 0.447
0.368 0.685 0.561
0.864 0.187 0.943
0.861 0.818 0.040
0.632 0.685 0.561
0.635 0.312 0.447
0.179 0.717 0.380
0.171 0.279 0.627
0.332 0.213 0.122
0.339 0.777 0.875
0.829 0.279 0.627
0.821 0.717 0.380
0.661 0.777 0.875
0.668 0.213 0.122
0.272 0.999 0.510
0.235 0.500 0.001
0.728 0.999 0.510
0.765 0.500 0.001
0.000 0.434 0.222
0.000 0.569 0.797
0.500 0.938 0.290
0.500 0.061 0.712
0.372 0.741 0.126
0.371 0.259 0.874
0.130 0.223 0.375
0.131 0.759 0.630
0.629 0.259 0.874
0.628 0.741 0.126
0.869 0.759 0.630
0.870 0.223 0.375
0.500 0.566 0.309
0.500 0.433 0.693
0.000 0.070 0.185
0.000 0.941 0.803
```

Output
space group = Pm (6)

---

What did we get for energy of formation? Answer: -1102.6 -2044.8 -2863.9 meV per atom, in the order shown.